# Y6AgTe2 | the Materials Project database | r²SCAN | optimized geometry
data_Y6AgTe2
_symmetry_space_group_name_H-M 'P n m a'
_symmetry_Int_Tables_number 62
_cell_length_a 22.0310
_cell_length_b 4.0871
_cell_length_c 11.6216
_cell_angle_alpha 90.00
_cell_angle_beta 90.00
_cell_angle_gamma 90.00
loop_
_symmetry_equiv_pos_as_xyz
'x,y,z'
'-x,-y,-z'
'-x+1/2,-y,z+1/2'
'x+1/2,y,-z+1/2'
'x+1/2,-y+1/2,-z+1/2'
'-x+1/2,y+1/2,z+1/2'
'-x,y+1/2,-z'
'x,-y+1/2,z'
loop_
_atom_site_label
_atom_site_type_symbol
_atom_site_fract_x
_atom_site_fract_y
_atom_site_fract_z
_atom_site_occupancy
Y1 Y 0.0152 0.2500 0.1117 1
Y2 Y 0.0278 0.7500 0.3778 1
Y3 Y 0.1076 0.2500 0.8316 1
Y4 Y 0.1471 0.7500 0.0798 1
Y5 Y 0.1580 0.2500 0.5401 1
Y6 Y 0.2335 0.7500 0.7554 1
Ag1 Ag 0.0756 0.7500 0.6480 1
Te1 Te 0.1268 0.2500 0.2798 1
Te2 Te 0.2379 0.2500 0.9708 1
# - DFT formation energy (eV per atom) = -0.781
# - M_tot (μB/cell) = 4.2



# Th2Ag | the Materials Project database | r²SCAN | optimized geometry
data_Th2Ag
_symmetry_space_group_name_H-M 'I 4/m c m'
_symmetry_Int_Tables_number 140
_symmetry_space_group_name_Hall '-I 4 2c'
_cell_length_a 7.6170
_cell_length_b 7.6170
_cell_length_c 5.8127
_cell_angle_alpha 90.00
_cell_angle_beta 90.00
_cell_angle_gamma 90.00
loop_
_atom_site_label
_atom_site_type_symbol
_atom_site_fract_x
_atom_site_fract_y
_atom_site_fract_z
_atom_site_occupancy
Th1 Th 0.1550 0.3451 0.0000 1
Ag1 Ag 0.0000 0.0000 0.2500 1
# - DFT formation energy (eV per atom) = -0.068
# - M_tot (μB/cell) = 0.0



# ThAg2 | the Materials Project database | r²SCAN | optimized geometry
data_ThAg2
_symmetry_space_group_name_H-M 'P 6/m m m'
_symmetry_Int_Tables_number 191
_symmetry_space_group_name_Hall '-P 6 2'
_cell_length_a 4.8838
_cell_length_b 4.8838
_cell_length_c 3.3284
_cell_angle_alpha 90.00
_cell_angle_beta 90.00
_cell_angle_gamma 120.00
loop_
_atom_site_label
_atom_site_type_symbol
_atom_site_fract_x
_atom_site_fract_y
_atom_site_fract_z
_atom_site_occupancy
Th1 Th 0.0000 0.0000 0.0000 1
Ag1 Ag 0.3333 0.6667 0.5000 1
# - DFT formation energy (eV per atom) = -0.167
# - M_tot (μB/cell) = 0.0



# Ti2Ag | the Materials Project database | r²SCAN | optimized geometry
data_Ti2Ag
_symmetry_space_group_name_H-M 'I 4/m m m'
_symmetry_Int_Tables_number 139
_symmetry_space_group_name_Hall '-I 4 2'
_cell_length_a 2.9453
_cell_length_b 2.9453
_cell_length_c 11.8239
_cell_angle_alpha 90.00
_cell_angle_beta 90.00
_cell_angle_gamma 90.00
loop_
_atom_site_label
_atom_site_type_symbol
_atom_site_fract_x
_atom_site_fract_y
_atom_site_fract_z
_atom_site_occupancy
Ti1 Ti 0.0000 0.0000 0.1715 1
Ag1 Ag 0.0000 0.0000 0.5000 1
# - DFT formation energy (eV per atom) = -0.045
# - M_tot (μB/cell) = 0.0



# YTlAg2 | the Materials Project database | r²SCAN | optimized geometry
data_YTlAg2
_symmetry_space_group_name_H-M 'F m -3 m'
_symmetry_Int_Tables_number 225
_symmetry_space_group_name_Hall '-F 4 2 3'
_cell_length_a 7.0047
_cell_length_b 7.0047
_cell_length_c 7.0047
_cell_angle_alpha 90.00
_cell_angle_beta 90.00
_cell_angle_gamma 90.00
loop_
_atom_site_label
_atom_site_type_symbol
_atom_site_fract_x
_atom_site_fract_y
_atom_site_fract_z
_atom_site_occupancy
Y1 Y 0.0000 0.0000 0.0000 1
Tl1 Tl 0.0000 0.0000 0.5000 1
Ag1 Ag 0.2500 0.2500 0.2500 1
# - DFT formation energy (eV per atom) = -0.262
# - M_tot (μB/cell) = 0.0



# YTmAg2 | the Materials Project database | r²SCAN | optimized geometry
data_YTmAg2
_symmetry_space_group_name_H-M 'F m -3 m'
_symmetry_Int_Tables_number 225
_symmetry_space_group_name_Hall '-F 4 2 3'
_cell_length_a 7.1807
_cell_length_b 7.1807
_cell_length_c 7.1807
_cell_angle_alpha 90.00
_cell_angle_beta 90.00
_cell_angle_gamma 90.00
loop_
_atom_site_label
_atom_site_type_symbol
_atom_site_fract_x
_atom_site_fract_y
_atom_site_fract_z
_atom_site_occupancy
Y1 Y 0.0000 0.0000 0.0000 1
Tm1 Tm 0.0000 0.0000 0.5000 1
Ag1 Ag 0.2500 0.2500 0.2500 1
# - DFT formation energy (eV per atom) = -0.338
# - M_tot (μB/cell) = 0.0



# Tm2ZnAg | the Materials Project database | r²SCAN | optimized geometry
data_Tm2ZnAg
_symmetry_space_group_name_H-M 'F m -3 m'
_symmetry_Int_Tables_number 225
_symmetry_space_group_name_Hall '-F 4 2 3'
_cell_length_a 7.0548
_cell_length_b 7.0548
_cell_length_c 7.0548
_cell_angle_alpha 90.00
_cell_angle_beta 90.00
_cell_angle_gamma 90.00
loop_
_atom_site_label
_atom_site_type_symbol
_atom_site_fract_x
_atom_site_fract_y
_atom_site_fract_z
_atom_site_occupancy
Tm1 Tm 0.2500 0.2500 0.2500 1
Zn1 Zn 0.0000 0.0000 0.0000 1
Ag1 Ag 0.0000 0.0000 0.5000 1
# - DFT formation energy (eV per atom) = -0.375
# - M_tot (μB/cell) = 0.0



# YAg3 | the Materials Project database | r²SCAN | optimized geometry
data_YAg3
_symmetry_space_group_name_H-M 'I 4/m m m'
_symmetry_Int_Tables_number 139
_symmetry_space_group_name_Hall '-I 4 2'
_cell_length_a 4.4111
_cell_length_b 4.4111
_cell_length_c 8.2822
_cell_angle_alpha 90.00
_cell_angle_beta 90.00
_cell_angle_gamma 90.00
loop_
_atom_site_label
_atom_site_type_symbol
_atom_site_fract_x
_atom_site_fract_y
_atom_site_fract_z
_atom_site_occupancy
Y1 Y 0.0000 0.0000 0.0000 1
Ag1 Ag 0.0000 0.0000 0.5000 1
Ag2 Ag 0.0000 0.5000 0.2500 1
# - DFT formation energy (eV per atom) = -0.215
# - M_tot (μB/cell) = 0.0



# YAg3 | the Materials Project database | r²SCAN | optimized geometry
data_YAg3
_symmetry_space_group_name_H-M 'F m -3 m'
_symmetry_Int_Tables_number 225
_symmetry_space_group_name_Hall '-F 4 2 3'
_cell_length_a 6.8762
_cell_length_b 6.8762
_cell_length_c 6.8762
_cell_angle_alpha 90.00
_cell_angle_beta 90.00
_cell_angle_gamma 90.00
loop_
_atom_site_label
_atom_site_type_symbol
_atom_site_fract_x
_atom_site_fract_y
_atom_site_fract_z
_atom_site_occupancy
Y1 Y 0.0000 0.0000 0.0000 1
Ag1 Ag 0.0000 0.0000 0.5000 1
Ag2 Ag 0.2500 0.2500 0.2500 1
# - DFT formation energy (eV per atom) = -0.207
# - M_tot (μB/cell) = 0.0



# YbAg | the Materials Project database | r²SCAN | optimized geometry
data_YbAg
_symmetry_space_group_name_H-M 'P n m a'
_symmetry_Int_Tables_number 62
_cell_length_a 7.1381
_cell_length_b 4.7155
_cell_length_c 5.4957
_cell_angle_alpha 90.00
_cell_angle_beta 90.00
_cell_angle_gamma 90.00
loop_
_symmetry_equiv_pos_as_xyz
'x,y,z'
'-x,-y,-z'
'-x+1/2,-y,z+1/2'
'x+1/2,y,-z+1/2'
'x+1/2,-y+1/2,-z+1/2'
'-x+1/2,y+1/2,z+1/2'
'-x,y+1/2,-z'
'x,-y+1/2,z'
loop_
_atom_site_label
_atom_site_type_symbol
_atom_site_fract_x
_atom_site_fract_y
_atom_site_fract_z
_atom_site_occupancy
Yb1 Yb 0.1867 0.2500 0.1526 1
Ag1 Ag 0.0340 0.2500 0.6530 1
# - DFT formation energy (eV per atom) = -0.326
# - M_tot (μB/cell) = 0.0



# YbAg3 | the Materials Project database | r²SCAN | optimized geometry
data_YbAg3
_symmetry_space_group_name_H-M 'F m -3 m'
_symmetry_Int_Tables_number 225
_symmetry_space_group_name_Hall '-F 4 2 3'
_cell_length_a 6.7781
_cell_length_b 6.7781
_cell_length_c 6.7781
_cell_angle_alpha 90.00
_cell_angle_beta 90.00
_cell_angle_gamma 90.00
loop_
_atom_site_label
_atom_site_type_symbol
_atom_site_fract_x
_atom_site_fract_y
_atom_site_fract_z
_atom_site_occupancy
Yb1 Yb 0.0000 0.0000 0.0000 1
Ag1 Ag 0.0000 0.0000 0.5000 1
Ag2 Ag 0.2500 0.2500 0.2500 1
# - DFT formation energy (eV per atom) = -0.221
# - M_tot (μB/cell) = 0.0



# Yb3Ag2 | the Materials Project database | r²SCAN | optimized geometry
data_Yb3Ag2
_symmetry_space_group_name_H-M 'P 4/m b m'
_symmetry_Int_Tables_number 127
_symmetry_space_group_name_Hall '-P 4 2ab'
_cell_length_a 8.0724
_cell_length_b 8.0724
_cell_length_c 3.7445
_cell_angle_alpha 90.00
_cell_angle_beta 90.00
_cell_angle_gamma 90.00
loop_
_atom_site_label
_atom_site_type_symbol
_atom_site_fract_x
_atom_site_fract_y
_atom_site_fract_z
_atom_site_occupancy
Yb1 Yb 0.0000 0.0000 0.0000 1
Yb2 Yb 0.1650 0.3350 0.5000 1
Ag1 Ag 0.1292 0.6292 0.0000 1
# - DFT formation energy (eV per atom) = -0.249
# - M_tot (μB/cell) = 2.7